1.
# CoP4H10O16 | the Materials Project database | GGA+U | optimized geometry
data_CoP4H10O16
_cell_length_a 7.221
_cell_length_b 8.462
_cell_length_c 10.688
_cell_angle_alpha 98.43
_cell_angle_beta 92.28
_cell_angle_gamma 99.73
_space_group_name_H-M_alt 'P 1'
_space_group_IT_number 1
loop_
_space_group_symop_operation_xyz
'x,y,z'
loop_
_atom_site_label
_atom_site_type_symbol
_atom_site_fract_x
_atom_site_fract_y
_atom_site_fract_z
_atom_site_occupancy
Co1 Co 0.000 0.000 0.000 1
Co2 Co 0.000 0.000 0.500 1
P1 P 0.174 0.221 0.283 1
P2 P 0.174 0.221 0.784 1
P3 P 0.319 0.758 0.523 1
P4 P 0.320 0.758 0.024 1
P5 P 0.680 0.242 0.976 1
P6 P 0.681 0.242 0.477 1
P7 P 0.826 0.779 0.216 1
P8 P 0.826 0.779 0.717 1
H1 H 0.083 0.738 0.315 1
H2 H 0.083 0.738 0.817 1
H3 H 0.131 0.596 0.614 1
H4 H 0.132 0.595 0.114 1
H5 H 0.305 0.964 0.669 1
H6 H 0.306 0.965 0.169 1
H7 H 0.372 0.232 0.990 1
H8 H 0.373 0.234 0.490 1
H9 H 0.421 0.337 0.197 1
H10 H 0.421 0.337 0.698 1
H11 H 0.579 0.663 0.302 1
H12 H 0.579 0.663 0.803 1
H13 H 0.627 0.766 0.510 1
H14 H 0.628 0.768 0.010 1
H15 H 0.694 0.035 0.831 1
H16 H 0.695 0.036 0.331 1
H17 H 0.868 0.405 0.886 1
H18 H 0.869 0.404 0.386 1
H19 H 0.917 0.262 0.183 1
H20 H 0.917 0.262 0.685 1
O1 O 0.005 0.694 0.231 1
O2 O 0.005 0.695 0.732 1
O3 O 0.161 0.080 0.674 1
O4 O 0.163 0.080 0.173 1
O5 O 0.181 0.825 0.442 1
O6 O 0.181 0.825 0.944 1
O7 O 0.183 0.178 0.417 1
O8 O 0.185 0.176 0.917 1
O9 O 0.231 0.585 0.553 1
O10 O 0.233 0.585 0.053 1
O11 O 0.353 0.355 0.776 1
O12 O 0.354 0.354 0.276 1
O13 O 0.385 0.876 0.650 1
O14 O 0.386 0.875 0.150 1
O15 O 0.499 0.268 0.046 1
O16 O 0.499 0.268 0.546 1
O17 O 0.501 0.732 0.454 1
O18 O 0.501 0.732 0.954 1
O19 O 0.614 0.125 0.850 1
O20 O 0.615 0.124 0.350 1
O21 O 0.646 0.646 0.724 1
O22 O 0.647 0.645 0.224 1
O23 O 0.767 0.415 0.947 1
O24 O 0.769 0.415 0.447 1
O25 O 0.815 0.824 0.083 1
O26 O 0.817 0.822 0.583 1
O27 O 0.819 0.175 0.056 1
O28 O 0.819 0.175 0.558 1
O29 O 0.837 0.920 0.827 1
O30 O 0.839 0.920 0.326 1
O31 O 0.995 0.305 0.268 1
O32 O 0.995 0.306 0.769 1
# * total magnetization: 3.0 μB per formula unit
# * MP2020-corrected energy: -201.363 eV/f.u.
# * formation enthalpy at 0 K: -1.92 eV per atom
# * E above lowest polymorph: 0 meV/atom



2.
# Co2PHO5 | the Materials Project database | GGA+U | optimized geometry
data_Co2PHO5
_cell_length_a 8.165
_cell_length_b 8.406
_cell_length_c 6.037
_cell_angle_alpha 90.00
_cell_angle_beta 90.00
_cell_angle_gamma 90.00
_space_group_name_H-M_alt 'P 1'
_space_group_IT_number 1
loop_
_space_group_symop_operation_xyz
'x,y,z'
loop_
_atom_site_label
_atom_site_type_symbol
_atom_site_fract_x
_atom_site_fract_y
_atom_site_fract_z
_atom_site_occupancy
Co1 Co 0.000 0.000 0.245 1
Co2 Co 0.000 0.000 0.755 1
Co3 Co 0.139 0.370 0.000 1
Co4 Co 0.361 0.870 0.500 1
Co5 Co 0.500 0.500 0.255 1
Co6 Co 0.500 0.500 0.745 1
Co7 Co 0.639 0.130 0.500 1
Co8 Co 0.861 0.630 0.000 1
P1 P 0.248 0.741 0.000 1
P2 P 0.252 0.241 0.500 1
P3 P 0.748 0.759 0.500 1
P4 P 0.752 0.259 0.000 1
H1 H 0.226 0.082 0.000 1
H2 H 0.274 0.582 0.500 1
H3 H 0.726 0.418 0.500 1
H4 H 0.774 0.918 0.000 1
O1 O 0.086 0.147 0.500 1
O2 O 0.110 0.613 0.000 1
O3 O 0.115 0.124 0.000 1
O4 O 0.233 0.848 0.209 1
O5 O 0.233 0.848 0.791 1
O6 O 0.267 0.348 0.291 1
O7 O 0.267 0.348 0.709 1
O8 O 0.385 0.624 0.500 1
O9 O 0.390 0.113 0.500 1
O10 O 0.414 0.647 0.000 1
O11 O 0.586 0.353 0.000 1
O12 O 0.610 0.887 0.500 1
O13 O 0.615 0.376 0.500 1
O14 O 0.733 0.652 0.291 1
O15 O 0.733 0.652 0.709 1
O16 O 0.767 0.152 0.209 1
O17 O 0.767 0.152 0.791 1
O18 O 0.885 0.876 0.000 1
O19 O 0.890 0.387 0.000 1
O20 O 0.914 0.853 0.500 1
# * total magnetization: 6.0 μB per formula unit
# * MP2020-corrected energy: -65.099 eV/f.u.
# * formation enthalpy at 0 K: -1.93 eV per atom



3.
# CoP4H10O16 | the Materials Project database | GGA+U | optimized geometry
data_CoP4H10O16
_cell_length_a 5.390
_cell_length_b 7.511
_cell_length_c 7.640
_cell_angle_alpha 99.46
_cell_angle_beta 98.16
_cell_angle_gamma 96.35
_space_group_name_H-M_alt 'P 1'
_space_group_IT_number 1
loop_
_space_group_symop_operation_xyz
'x,y,z'
loop_
_atom_site_label
_atom_site_type_symbol
_atom_site_fract_x
_atom_site_fract_y
_atom_site_fract_z
_atom_site_occupancy
Co1 Co 0.000 0.000 0.000 1
P1 P 0.070 0.726 0.303 1
P2 P 0.439 0.753 0.820 1
P3 P 0.561 0.247 0.180 1
P4 P 0.930 0.274 0.697 1
H1 H 0.059 0.782 0.675 1
H2 H 0.234 0.396 0.577 1
H3 H 0.320 0.499 0.291 1
H4 H 0.344 0.965 0.324 1
H5 H 0.369 0.274 0.922 1
H6 H 0.631 0.726 0.078 1
H7 H 0.656 0.035 0.676 1
H8 H 0.680 0.501 0.709 1
H9 H 0.766 0.604 0.423 1
H10 H 0.941 0.218 0.325 1
O1 O 0.072 0.214 0.859 1
O2 O 0.104 0.283 0.545 1
O3 O 0.141 0.531 0.256 1
O4 O 0.172 0.831 0.793 1
O5 O 0.304 0.866 0.398 1
O6 O 0.346 0.093 0.178 1
O7 O 0.432 0.586 0.676 1
O8 O 0.450 0.707 0.014 1
O9 O 0.550 0.293 0.986 1
O10 O 0.568 0.414 0.324 1
O11 O 0.654 0.907 0.822 1
O12 O 0.696 0.134 0.602 1
O13 O 0.828 0.169 0.207 1
O14 O 0.859 0.469 0.744 1
O15 O 0.896 0.717 0.455 1
O16 O 0.928 0.786 0.141 1
# * total magnetization: 3.0 μB per formula unit
# * MP2020-corrected energy: -200.838 eV/f.u.
# * formation enthalpy at 0 K: -1.90 eV per atom
# * E above lowest polymorph: 17 meV/atom



4.
# Co3P2H8O12 | the Materials Project database | GGA+U | optimized geometry
data_Co3P2H8O12
_cell_length_a 10.717
_cell_length_b 18.645
_cell_length_c 5.056
_cell_angle_alpha 90.00
_cell_angle_beta 90.00
_cell_angle_gamma 90.00
_space_group_name_H-M_alt 'P 1'
_space_group_IT_number 1
loop_
_space_group_symop_operation_xyz
'x,y,z'
loop_
_atom_site_label
_atom_site_type_symbol
_atom_site_fract_x
_atom_site_fract_y
_atom_site_fract_z
_atom_site_occupancy
Co1 Co 0.142 0.000 0.209 1
Co2 Co 0.142 0.500 0.209 1
Co3 Co 0.238 0.250 0.558 1
Co4 Co 0.262 0.750 0.058 1
Co5 Co 0.358 0.000 0.709 1
Co6 Co 0.358 0.500 0.709 1
Co7 Co 0.642 0.000 0.291 1
Co8 Co 0.642 0.500 0.291 1
Co9 Co 0.738 0.250 0.942 1
Co10 Co 0.762 0.750 0.442 1
Co11 Co 0.858 0.000 0.791 1
Co12 Co 0.858 0.500 0.791 1
P1 P 0.103 0.095 0.729 1
P2 P 0.103 0.405 0.729 1
P3 P 0.397 0.595 0.229 1
P4 P 0.397 0.905 0.229 1
P5 P 0.603 0.095 0.771 1
P6 P 0.603 0.405 0.771 1
P7 P 0.897 0.595 0.271 1
P8 P 0.897 0.905 0.271 1
H1 H 0.024 0.750 0.290 1
H2 H 0.099 0.637 0.960 1
H3 H 0.099 0.863 0.960 1
H4 H 0.108 0.750 0.539 1
H5 H 0.111 0.209 0.127 1
H6 H 0.111 0.291 0.127 1
H7 H 0.162 0.651 0.678 1
H8 H 0.162 0.849 0.678 1
H9 H 0.338 0.151 0.178 1
H10 H 0.338 0.349 0.178 1
H11 H 0.389 0.709 0.627 1
H12 H 0.389 0.791 0.627 1
H13 H 0.392 0.250 0.039 1
H14 H 0.401 0.137 0.460 1
H15 H 0.401 0.363 0.460 1
H16 H 0.476 0.250 0.790 1
H17 H 0.524 0.750 0.210 1
H18 H 0.599 0.637 0.540 1
H19 H 0.599 0.863 0.540 1
H20 H 0.608 0.750 0.961 1
H21 H 0.611 0.209 0.373 1
H22 H 0.611 0.291 0.373 1
H23 H 0.662 0.651 0.822 1
H24 H 0.662 0.849 0.822 1
H25 H 0.838 0.151 0.322 1
H26 H 0.838 0.349 0.322 1
H27 H 0.889 0.709 0.873 1
H28 H 0.889 0.791 0.873 1
H29 H 0.892 0.250 0.461 1
H30 H 0.901 0.137 0.040 1
H31 H 0.901 0.363 0.040 1
H32 H 0.976 0.250 0.710 1
O1 O 0.024 0.578 0.133 1
O2 O 0.024 0.922 0.133 1
O3 O 0.094 0.080 0.432 1
O4 O 0.094 0.420 0.432 1
O5 O 0.108 0.250 0.251 1
O6 O 0.111 0.750 0.346 1
O7 O 0.141 0.173 0.788 1
O8 O 0.141 0.327 0.788 1
O9 O 0.154 0.671 0.855 1
O10 O 0.154 0.829 0.855 1
O11 O 0.200 0.041 0.863 1
O12 O 0.200 0.459 0.863 1
O13 O 0.300 0.541 0.363 1
O14 O 0.300 0.959 0.363 1
O15 O 0.346 0.171 0.355 1
O16 O 0.346 0.329 0.355 1
O17 O 0.359 0.673 0.288 1
O18 O 0.359 0.827 0.288 1
O19 O 0.389 0.250 0.846 1
O20 O 0.392 0.750 0.751 1
O21 O 0.406 0.580 0.932 1
O22 O 0.406 0.920 0.932 1
O23 O 0.476 0.078 0.633 1
O24 O 0.476 0.422 0.633 1
O25 O 0.524 0.578 0.367 1
O26 O 0.524 0.922 0.367 1
O27 O 0.594 0.080 0.068 1
O28 O 0.594 0.420 0.068 1
O29 O 0.608 0.250 0.249 1
O30 O 0.611 0.750 0.154 1
O31 O 0.641 0.173 0.712 1
O32 O 0.641 0.327 0.712 1
O33 O 0.654 0.671 0.645 1
O34 O 0.654 0.829 0.645 1
O35 O 0.700 0.041 0.637 1
O36 O 0.700 0.459 0.637 1
O37 O 0.800 0.541 0.137 1
O38 O 0.800 0.959 0.137 1
O39 O 0.846 0.171 0.145 1
O40 O 0.846 0.329 0.145 1
O41 O 0.859 0.673 0.212 1
O42 O 0.859 0.827 0.212 1
O43 O 0.889 0.250 0.654 1
O44 O 0.892 0.750 0.749 1
O45 O 0.906 0.580 0.568 1
O46 O 0.906 0.920 0.568 1
O47 O 0.976 0.078 0.867 1
O48 O 0.976 0.422 0.867 1
# * total magnetization: 9.0 μB per formula unit
# * MP2020-corrected energy: -161.428 eV/f.u.
# * formation enthalpy at 0 K: -1.71 eV per atom



5.
# CoP2H8O10 | the Materials Project database | GGA+U | optimized geometry
data_CoP2H8O10
_cell_length_a 5.370
_cell_length_b 9.995
_cell_length_c 8.703
_cell_angle_alpha 90.00
_cell_angle_beta 123.81
_cell_angle_gamma 90.00
_space_group_name_H-M_alt 'P 1'
_space_group_IT_number 1
loop_
_space_group_symop_operation_xyz
'x,y,z'
loop_
_atom_site_label
_atom_site_type_symbol
_atom_site_fract_x
_atom_site_fract_y
_atom_site_fract_z
_atom_site_occupancy
Co1 Co 0.000 0.000 0.000 1
Co2 Co 0.000 0.500 0.500 1
P1 P 0.087 0.217 0.336 1
P2 P 0.087 0.283 0.836 1
P3 P 0.913 0.717 0.164 1
P4 P 0.913 0.783 0.664 1
H1 H 0.126 0.723 0.012 1
H2 H 0.126 0.777 0.512 1
H3 H 0.412 0.077 0.838 1
H4 H 0.412 0.423 0.338 1
H5 H 0.421 0.548 0.234 1
H6 H 0.421 0.952 0.734 1
H7 H 0.441 0.110 0.595 1
H8 H 0.441 0.390 0.095 1
H9 H 0.559 0.610 0.905 1
H10 H 0.559 0.890 0.405 1
H11 H 0.579 0.048 0.266 1
H12 H 0.579 0.452 0.766 1
H13 H 0.588 0.577 0.662 1
H14 H 0.588 0.923 0.162 1
H15 H 0.874 0.223 0.488 1
H16 H 0.874 0.277 0.988 1
O1 O 0.022 0.672 0.360 1
O2 O 0.022 0.828 0.860 1
O3 O 0.136 0.132 0.867 1
O4 O 0.136 0.368 0.367 1
O5 O 0.152 0.670 0.122 1
O6 O 0.152 0.830 0.622 1
O7 O 0.388 0.139 0.469 1
O8 O 0.388 0.361 0.969 1
O9 O 0.469 0.537 0.707 1
O10 O 0.469 0.963 0.207 1
O11 O 0.531 0.037 0.793 1
O12 O 0.531 0.463 0.293 1
O13 O 0.612 0.639 0.031 1
O14 O 0.612 0.861 0.531 1
O15 O 0.848 0.170 0.378 1
O16 O 0.848 0.330 0.878 1
O17 O 0.864 0.632 0.633 1
O18 O 0.864 0.868 0.133 1
O19 O 0.978 0.172 0.140 1
O20 O 0.978 0.328 0.640 1
# * total magnetization: 3.0 μB per formula unit
# * MP2020-corrected energy: -131.771 eV/f.u.
# * formation enthalpy at 0 K: -1.77 eV per atom



6.
# CoPHO5 | the Materials Project database | GGA+U | optimized geometry
data_CoPHO5
_cell_length_a 5.300
_cell_length_b 7.151
_cell_length_c 10.017
_cell_angle_alpha 104.81
_cell_angle_beta 97.82
_cell_angle_gamma 109.22
_space_group_name_H-M_alt 'P 1'
_space_group_IT_number 1
loop_
_space_group_symop_operation_xyz
'x,y,z'
loop_
_atom_site_label
_atom_site_type_symbol
_atom_site_fract_x
_atom_site_fract_y
_atom_site_fract_z
_atom_site_occupancy
Co1 Co 0.000 0.000 0.000 1
Co2 Co 0.250 0.250 0.749 1
Co3 Co 0.500 0.500 0.500 1
Co4 Co 0.750 0.750 0.251 1
P1 P 0.134 0.797 0.529 1
P2 P 0.367 0.701 0.971 1
P3 P 0.633 0.299 0.029 1
P4 P 0.866 0.203 0.471 1
H1 H 0.071 0.081 0.268 1
H2 H 0.430 0.419 0.234 1
H3 H 0.570 0.581 0.766 1
H4 H 0.929 0.919 0.732 1
O1 O 0.015 0.054 0.813 1
O2 O 0.056 0.738 0.364 1
O3 O 0.116 0.290 0.410 1
O4 O 0.146 0.786 0.932 1
O5 O 0.234 0.458 0.905 1
O6 O 0.269 0.040 0.595 1
O7 O 0.363 0.718 0.568 1
O8 O 0.383 0.214 0.092 1
O9 O 0.445 0.762 0.136 1
O10 O 0.491 0.444 0.687 1
O11 O 0.509 0.556 0.313 1
O12 O 0.555 0.238 0.864 1
O13 O 0.617 0.786 0.908 1
O14 O 0.637 0.282 0.432 1
O15 O 0.731 0.960 0.405 1
O16 O 0.766 0.542 0.095 1
O17 O 0.854 0.214 0.068 1
O18 O 0.884 0.710 0.590 1
O19 O 0.944 0.262 0.636 1
O20 O 0.985 0.946 0.187 1
# * total magnetization: 0.3 μB per formula unit
# * MP2020-corrected energy: -54.588 eV/f.u.
# * formation enthalpy at 0 K: -1.74 eV per atom